# 1
Below is Al3Pb5F19 after structural relaxation, with properties calculated at the PBE level.

abc: 20.4794 20.4794 7.3120
angles: 90.00 90.00 90.00
Element x y z (fractional)
1 Al 0.0085 0.1669 0.0092
2 Al 0.0088 0.6653 0.4944
3 Al 0.1653 0.9912 0.5056
4 Al 0.1669 0.4915 0.0092
5 Al 0.2500 0.2500 0.2428
6 Al 0.2500 0.2500 0.7480
7 Al 0.2500 0.7500 0.2531
8 Al 0.2500 0.7500 0.7469
9 Al 0.3331 0.0085 0.0092
10 Al 0.3347 0.5088 0.5056
11 Al 0.4915 0.3331 0.0092
12 Al 0.4912 0.8347 0.4944
13 Al 0.5088 0.1653 0.5056
14 Al 0.5085 0.6669 0.9908
15 Al 0.6653 0.4912 0.4944
16 Al 0.6669 0.9915 0.9908
17 Al 0.7500 0.2500 0.2531
18 Al 0.7500 0.2500 0.7469
19 Al 0.7500 0.7500 0.2520
20 Al 0.7500 0.7500 0.7572
21 Al 0.8331 0.5085 0.9908
22 Al 0.8347 0.0088 0.4944
23 Al 0.9912 0.3347 0.5056
24 Al 0.9915 0.8331 0.9908
25 Pb 0.0074 0.0178 0.7542
26 Pb 0.0178 0.4926 0.7542
27 Pb 0.0854 0.3267 0.0112
28 Pb 0.0885 0.8292 0.5055
29 Pb 0.1100 0.1737 0.5061
30 Pb 0.1115 0.6689 0.9976
31 Pb 0.1689 0.8885 0.0024
32 Pb 0.1708 0.5885 0.4945
33 Pb 0.1733 0.0854 0.0112
34 Pb 0.1737 0.3900 0.5061
35 Pb 0.3263 0.1100 0.5061
36 Pb 0.3267 0.4146 0.0112
37 Pb 0.3292 0.9115 0.4945
38 Pb 0.3311 0.6115 0.0024
39 Pb 0.3885 0.8311 0.9976
40 Pb 0.3900 0.3263 0.5061
41 Pb 0.4115 0.6708 0.5055
42 Pb 0.4146 0.1733 0.0112
43 Pb 0.4822 0.0074 0.7542
44 Pb 0.4926 0.4822 0.7542
45 Pb 0.5074 0.5178 0.2458
46 Pb 0.5178 0.9926 0.2458
47 Pb 0.5854 0.8267 0.9888
48 Pb 0.5885 0.3292 0.4945
49 Pb 0.6100 0.6737 0.4939
50 Pb 0.6115 0.1689 0.0024
51 Pb 0.6689 0.3885 0.9976
52 Pb 0.6708 0.0885 0.5055
53 Pb 0.6733 0.5854 0.9888
54 Pb 0.6737 0.8900 0.4939
55 Pb 0.8263 0.6100 0.4939
56 Pb 0.8267 0.9146 0.9888
57 Pb 0.8292 0.4115 0.5055
58 Pb 0.8311 0.1115 0.9976
59 Pb 0.8885 0.3311 0.0024
60 Pb 0.8900 0.8263 0.4939
61 Pb 0.9115 0.1708 0.4945
62 Pb 0.9146 0.6733 0.9888
63 Pb 0.9822 0.5074 0.2458
64 Pb 0.9926 0.9822 0.2458
65 F 0.0087 0.2479 0.5322
66 F 0.0134 0.7472 0.0221
67 F 0.0195 0.1059 0.5064
68 F 0.0205 0.6009 0.9916
69 F 0.0287 0.5774 0.5148
70 F 0.0336 0.0812 0.0409
71 F 0.0499 0.8612 0.1687
72 F 0.0517 0.3597 0.6809
73 F 0.0555 0.3460 0.3362
74 F 0.0567 0.8471 0.8265
75 F 0.0669 0.1905 0.1830
76 F 0.0705 0.6828 0.6660
77 F 0.0736 0.1719 0.8388
78 F 0.0740 0.6690 0.3241
79 F 0.0774 0.9713 0.4852
80 F 0.0812 0.4664 0.0409
81 F 0.1009 0.9795 0.0084
82 F 0.1059 0.4805 0.5064
83 F 0.1388 0.5499 0.8313
84 F 0.1403 0.0517 0.6809
85 F 0.1529 0.5567 0.1735
86 F 0.1540 0.0555 0.3362
87 F 0.1666 0.2812 0.7405
88 F 0.1669 0.7826 0.2467
89 F 0.1680 0.7824 0.7533
90 F 0.1690 0.9260 0.6759
91 F 0.1699 0.2872 0.2501
92 F 0.1719 0.4264 0.8388
93 F 0.1828 0.9295 0.3340
94 F 0.1905 0.4331 0.1830
95 F 0.2128 0.1699 0.2501
96 F 0.2174 0.6669 0.7533
97 F 0.2176 0.6680 0.2467
98 F 0.2188 0.1666 0.7405
99 F 0.2472 0.9866 0.9779
100 F 0.2479 0.4913 0.5322
101 F 0.2500 0.2500 0.4958
102 F 0.2500 0.2500 0.9951
103 F 0.2500 0.7500 0.0000
104 F 0.2500 0.7500 0.5000
105 F 0.2521 0.0087 0.5322
106 F 0.2527 0.5134 0.9779
107 F 0.2812 0.3334 0.7405
108 F 0.2824 0.8320 0.2467
109 F 0.2826 0.8331 0.7533
110 F 0.2872 0.3301 0.2501
111 F 0.3095 0.0669 0.1830
112 F 0.3172 0.5705 0.3340
113 F 0.3281 0.0736 0.8388
114 F 0.3301 0.2128 0.2501
115 F 0.3310 0.5740 0.6759
116 F 0.3320 0.7176 0.7533
117 F 0.3334 0.2188 0.7405
118 F 0.3331 0.7174 0.2467
119 F 0.3460 0.4445 0.3362
120 F 0.3471 0.9433 0.1735
121 F 0.3597 0.4483 0.6809
122 F 0.3612 0.9501 0.8313
123 F 0.3941 0.0195 0.5064
124 F 0.3991 0.5205 0.0084
125 F 0.4188 0.0336 0.0409
126 F 0.4226 0.5287 0.4852
127 F 0.4264 0.3281 0.8388
128 F 0.4260 0.8310 0.3241
129 F 0.4295 0.8172 0.6660
130 F 0.4331 0.3095 0.1830
131 F 0.4433 0.6529 0.8265
132 F 0.4445 0.1540 0.3362
133 F 0.4483 0.1403 0.6809
134 F 0.4501 0.6388 0.1687
135 F 0.4664 0.4188 0.0409
136 F 0.4713 0.9226 0.5148
137 F 0.4795 0.8991 0.9916
138 F 0.4805 0.3941 0.5064
139 F 0.4866 0.7528 0.0221
140 F 0.4913 0.2521 0.5322
141 F 0.5087 0.7479 0.4678
142 F 0.5134 0.2472 0.9779
143 F 0.5195 0.6059 0.4936
144 F 0.5205 0.1009 0.0084
145 F 0.5287 0.0774 0.4852
146 F 0.5336 0.5812 0.9591
147 F 0.5499 0.3612 0.8313
148 F 0.5517 0.8597 0.3191
149 F 0.5555 0.8460 0.6638
150 F 0.5567 0.3471 0.1735
151 F 0.5669 0.6905 0.8170
152 F 0.5705 0.1828 0.3340
153 F 0.5740 0.1690 0.6759
154 F 0.5736 0.6719 0.1612
155 F 0.5774 0.4713 0.5148
156 F 0.5812 0.9664 0.9591
157 F 0.6009 0.4795 0.9916
158 F 0.6059 0.9805 0.4936
159 F 0.6388 0.0499 0.1687
160 F 0.6403 0.5517 0.3191
161 F 0.6529 0.0567 0.8265
162 F 0.6540 0.5555 0.6638
163 F 0.6669 0.2826 0.7533
164 F 0.6666 0.7812 0.2595
165 F 0.6680 0.2824 0.2467
166 F 0.6690 0.4260 0.3241
167 F 0.6699 0.7872 0.7499
168 F 0.6719 0.9264 0.1612
169 F 0.6828 0.4295 0.6660
170 F 0.6905 0.9331 0.8170
171 F 0.7128 0.6699 0.7499
172 F 0.7174 0.1669 0.2467
173 F 0.7176 0.1680 0.7533
174 F 0.7188 0.6666 0.2595
175 F 0.7472 0.4866 0.0221
176 F 0.7479 0.9913 0.4678
177 F 0.7500 0.2500 0.0000
178 F 0.7500 0.2500 0.5000
179 F 0.7500 0.7500 0.0049
180 F 0.7500 0.7500 0.5042
181 F 0.7521 0.5087 0.4678
182 F 0.7528 0.0134 0.0221
183 F 0.7812 0.8334 0.2595
184 F 0.7824 0.3320 0.7533
185 F 0.7826 0.3331 0.2467
186 F 0.7872 0.8301 0.7499
187 F 0.8095 0.5669 0.8170
188 F 0.8172 0.0705 0.6660
189 F 0.8281 0.5736 0.1612
190 F 0.8301 0.7128 0.7499
191 F 0.8310 0.0740 0.3241
192 F 0.8320 0.2176 0.2467
193 F 0.8331 0.2174 0.7533
194 F 0.8334 0.7188 0.2595
195 F 0.8460 0.9445 0.6638
196 F 0.8471 0.4433 0.8265
197 F 0.8597 0.9483 0.3191
198 F 0.8612 0.4501 0.1687
199 F 0.8941 0.5195 0.4936
200 F 0.8991 0.0205 0.9916
201 F 0.9188 0.5336 0.9591
202 F 0.9226 0.0287 0.5148
203 F 0.9260 0.3310 0.6759
204 F 0.9264 0.8281 0.1612
205 F 0.9295 0.3172 0.3340
206 F 0.9331 0.8095 0.8170
207 F 0.9433 0.1529 0.1735
208 F 0.9445 0.6540 0.6638
209 F 0.9483 0.6403 0.3191
210 F 0.9501 0.1388 0.8313
211 F 0.9664 0.9188 0.9591
212 F 0.9713 0.4226 0.4852
213 F 0.9795 0.3991 0.0084
214 F 0.9805 0.8941 0.4936
215 F 0.9866 0.2527 0.9779
216 F 0.9913 0.7521 0.4678

Summary:
For the calculated volume, the calculation gives 3067 Å³/cell. The value obtained for the energy is -5.333 eV/atom. For the offset from the most stable computed form, the calculation gives 0.006 eV/atom. The calculation puts the formation energy at -3.207 eV/atom. The value obtained for the total magnetization is 0.00 μB/atom.

***

# 2
Below is Al3Pb5F19 after structural relaxation, with properties calculated at the PBE level.

abc: 10.8447 10.8447 10.8447
angles: 97.01 97.01 139.09
Element x y z (fractional)
1 Al 0.0000 0.0000 0.0000
2 Al 0.1352 0.6352 0.1780
3 Al 0.4572 0.9572 0.8220
4 Al 0.5000 0.5000 0.0000
5 Al 0.6352 0.4572 0.5000
6 Al 0.9572 0.1352 0.5000
7 Pb 0.0622 0.9107 0.2986
8 Pb 0.1121 0.4107 0.8485
9 Pb 0.2636 0.1121 0.7014
10 Pb 0.4107 0.5622 0.2986
11 Pb 0.4552 0.9552 0.5000
12 Pb 0.5622 0.2636 0.1515
13 Pb 0.6121 0.7636 0.7014
14 Pb 0.7636 0.0622 0.1515
15 Pb 0.9107 0.6121 0.8485
16 Pb 0.9552 0.4552 0.5000
17 F 0.0252 0.2612 0.3746
18 F 0.0325 0.3953 0.1395
19 F 0.0448 0.1057 0.1671
20 F 0.1057 0.9386 0.0608
21 F 0.1157 0.1255 0.5000
22 F 0.1255 0.6255 0.0098
23 F 0.1305 0.6305 0.3459
24 F 0.1505 0.3865 0.6254
25 F 0.2132 0.9438 0.5000
26 F 0.2452 0.2452 0.0000
27 F 0.2558 0.8929 0.8605
28 F 0.2612 0.8865 0.2360
29 F 0.2846 0.7846 0.6541
30 F 0.3777 0.4386 0.8329
31 F 0.3865 0.7612 0.2360
32 F 0.3929 0.7558 0.8605
33 F 0.3953 0.2558 0.3629
34 F 0.4386 0.6057 0.0608
35 F 0.4438 0.7132 0.5000
36 F 0.5252 0.1505 0.7640
37 F 0.5325 0.3929 0.6371
38 F 0.5448 0.3777 0.9392
39 F 0.6057 0.5448 0.1671
40 F 0.6157 0.1157 0.9902
41 F 0.6255 0.6157 0.5000
42 F 0.6305 0.2846 0.5000
43 F 0.6505 0.0252 0.7640
44 F 0.7132 0.2132 0.2695
45 F 0.7452 0.7452 0.0000
46 F 0.7558 0.8953 0.3629
47 F 0.7612 0.5252 0.3746
48 F 0.7846 0.1305 0.5000
49 F 0.8777 0.0448 0.9392
50 F 0.8865 0.6505 0.6254
51 F 0.8929 0.0325 0.6371
52 F 0.8953 0.5325 0.1395
53 F 0.9386 0.8777 0.8329
54 F 0.9438 0.4438 0.7305

Summary:
For the calculated volume, the calculation gives 783 Å³/cell. The value obtained for the energy is -5.339 eV/atom. For the offset from the most stable computed form, the calculation gives 0.000 eV/atom. The calculation puts the formation energy at -3.213 eV/atom. The value obtained for the total magnetization is 0.00 μB/atom.

***

Question: What is the formula in the first record?
Answer: Al3Pb5F19